Compound: Mg14TiSb
Source: Materials Project
Functional: PBE-GGA
Structure: relaxed

Cell and atoms, written as extended XYZ:
```
16
Lattice="6.342 0.000 0.000 -3.171 5.492 0.000 0.000 0.000 10.301" Properties=species:S:1:pos:R:3 pbc="T T T"
Mg 1.568 0.925 9.051
Mg 3.171 1.819 1.288
Mg 3.171 3.661 9.031
Mg -1.594 4.572 6.438
Mg 1.594 4.572 6.438
Mg -1.576 4.583 1.288
Mg 3.171 3.661 3.846
Ti 0.000 1.831 1.288
Mg 1.568 0.925 3.826
Sb 0.000 1.831 6.438
Mg 3.171 1.841 6.438
Mg 1.576 4.583 1.288
Mg 0.000 3.641 3.826
Mg 4.774 0.925 3.826
Mg 4.774 0.925 9.051
Mg 0.000 3.641 9.051
```

- offset from the most stable computed form (kJ/mol of atoms) = 0.9
- energy relative to the elements (meV per atom) = 0
- DFT total energy (eV/atom) = -2.140